<a>
Computed, not measured: a relaxed structure of K4MgV2Ag2S8 at the PBE level of DFT.

The structure in CIF format:
```
data_K4MgV2Ag2S8
_chemical_formula_sum 'K4 Mg1 V2 Ag2 S8'
_cell_length_a 5.808
_cell_length_b 7.037
_cell_length_c 12.915
_cell_angle_alpha 86.94
_cell_angle_beta 82.58
_cell_angle_gamma 65.64
_space_group_name_H-M_alt 'P 1'
_space_group_IT_number 1
loop_
_space_group_symop_operation_xyz
'x,y,z'
loop_
_atom_site_label
_atom_site_type_symbol
_atom_site_fract_x
_atom_site_fract_y
_atom_site_fract_z
K1 K 0.000 0.000 0.000
K2 K 0.029 0.469 0.165
K3 K 0.422 0.469 0.438
K4 K 0.920 0.000 0.603
Mg1 Mg 0.484 0.952 0.802
V1 V 0.219 0.482 0.802
V2 V 0.966 0.987 0.302
Ag1 Ag 0.476 0.967 0.302
Ag2 Ag 0.768 0.385 0.802
S1 S 0.046 0.197 0.397
S2 S 0.210 0.243 0.690
S3 S 0.296 0.782 0.197
S4 S 0.395 0.684 0.711
S5 S 0.467 0.243 0.914
S6 S 0.676 0.197 0.206
S7 S 0.841 0.683 0.893
S8 S 0.841 0.782 0.407
```

***

<b>
Computed, not measured: a relaxed structure of K4MgV2Ag2S8 at the PBE level of DFT.

The structure in CIF format:
```
data_K4MgV2Ag2S8
_chemical_formula_sum 'K8 Mg2 V4 Ag4 S16'
_cell_length_a 6.041
_cell_length_b 22.424
_cell_length_c 7.159
_cell_angle_alpha 90.00
_cell_angle_beta 111.98
_cell_angle_gamma 90.00
_space_group_name_H-M_alt 'C 1 2 1'
_space_group_IT_number 5
loop_
_space_group_symop_operation_xyz
'x,y,z'
'-x,y,-z'
'x+1/2,y+1/2,z'
'-x+1/2,y+1/2,-z'
loop_
_atom_site_label
_atom_site_type_symbol
_atom_site_fract_x
_atom_site_fract_y
_atom_site_fract_z
K1 K 0.000 0.000 0.000
K2 K 0.000 0.127 0.500
K3 K 0.000 0.361 0.000
K4 K 0.000 0.755 0.500
Mg1 Mg 0.000 0.555 0.500
V1 V 0.000 0.181 0.000
V2 V 0.000 0.936 0.500
Ag1 Ag 0.000 0.414 0.500
Ag2 Ag 0.000 0.680 0.000
S1 S 0.093 0.879 0.289
S2 S 0.118 0.237 0.805
S3 S 0.195 0.496 0.316
S4 S 0.202 0.621 0.789
```

***

Most stable structure: <b>

***

<a>
Computed, not measured: a relaxed structure of K2TaAgS4 at the PBE level of DFT.

The structure in CIF format:
```
data_K2TaAgS4
_chemical_formula_sum 'K16 Ta8 Ag8 S32'
_cell_length_a 5.989
_cell_length_b 13.531
_cell_length_c 23.102
_cell_angle_alpha 90.00
_cell_angle_beta 90.00
_cell_angle_gamma 90.00
_space_group_name_H-M_alt 'F d d d'
_space_group_IT_number 70
loop_
_space_group_symop_operation_xyz
'x,y,z'
'-x,-y,-z'
'-x+1/4,-y+1/4,z'
'x+1/4,y+1/4,-z'
'x,-y+1/4,-z+1/4'
'-x,y+1/4,z+1/4'
'-x+1/4,y,-z+1/4'
'x+1/4,-y,z+1/4'
'x,y+1/2,z+1/2'
'-x,-y+1/2,-z+1/2'
'-x+1/4,-y+3/4,z+1/2'
'x+1/4,y+3/4,-z+1/2'
'x,-y+3/4,-z+3/4'
'-x,y+3/4,z+3/4'
'-x+1/4,y+1/2,-z+3/4'
'x+1/4,-y+1/2,z+3/4'
'x+1/2,y,z+1/2'
'-x+1/2,-y,-z+1/2'
'-x+3/4,-y+1/4,z+1/2'
'x+3/4,y+1/4,-z+1/2'
'x+1/2,-y+1/4,-z+3/4'
'-x+1/2,y+1/4,z+3/4'
'-x+3/4,y,-z+3/4'
'x+3/4,-y,z+3/4'
'x+1/2,y+1/2,z'
'-x+1/2,-y+1/2,-z'
'-x+3/4,-y+3/4,z'
'x+3/4,y+3/4,-z'
'x+1/2,-y+3/4,-z+1/4'
'-x+1/2,y+3/4,z+1/4'
'-x+3/4,y+1/2,-z+1/4'
'x+3/4,-y+1/2,z+1/4'
loop_
_atom_site_label
_atom_site_type_symbol
_atom_site_fract_x
_atom_site_fract_y
_atom_site_fract_z
K1 K 0.125 0.125 0.305
Ta1 Ta 0.125 0.125 0.125
Ag1 Ag 0.125 0.125 0.625
S1 S 0.088 0.273 0.433
```

***

<b>
Computed, not measured: a relaxed structure of K2TaAgS4 at the PBE level of DFT.

The structure in CIF format:
```
data_K2TaAgS4
_chemical_formula_sum 'K4 Ta2 Ag2 S8'
_cell_length_a 5.989
_cell_length_b 7.399
_cell_length_c 11.933
_cell_angle_alpha 84.17
_cell_angle_beta 75.47
_cell_angle_gamma 66.13
_space_group_name_H-M_alt 'P 1'
_space_group_IT_number 1
loop_
_space_group_symop_operation_xyz
'x,y,z'
loop_
_atom_site_label
_atom_site_type_symbol
_atom_site_fract_x
_atom_site_fract_y
_atom_site_fract_z
K1 K 0.000 0.000 0.000
K2 K 0.107 0.505 0.778
K3 K 0.356 0.005 0.282
K4 K 0.740 0.498 0.499
Ta1 Ta 0.163 0.003 0.640
Ta2 Ta 0.914 0.500 0.141
Ag1 Ag 0.412 0.506 0.142
Ag2 Ag 0.672 0.008 0.642
S1 S 0.126 0.795 0.527
S2 S 0.291 0.292 0.026
S3 S 0.341 0.206 0.521
S4 S 0.432 0.797 0.760
S5 S 0.661 0.700 0.025
S6 S 0.745 0.303 0.256
S7 S 0.790 0.208 0.758
S8 S 0.983 0.704 0.257
```

***

Most stable structure: <a>

***

<a>
Computed, not measured: a relaxed structure of K2VAgS4 at the PBE level of DFT.

The structure in CIF format:
```
data_K2VAgS4
_chemical_formula_sum 'K16 V8 Ag8 S32'
_cell_length_a 5.830
_cell_length_b 13.248
_cell_length_c 22.721
_cell_angle_alpha 90.00
_cell_angle_beta 90.00
_cell_angle_gamma 90.00
_space_group_name_H-M_alt 'F d d d'
_space_group_IT_number 70
loop_
_space_group_symop_operation_xyz
'x,y,z'
'-x,-y,-z'
'-x+1/4,-y+1/4,z'
'x+1/4,y+1/4,-z'
'x,-y+1/4,-z+1/4'
'-x,y+1/4,z+1/4'
'-x+1/4,y,-z+1/4'
'x+1/4,-y,z+1/4'
'x,y+1/2,z+1/2'
'-x,-y+1/2,-z+1/2'
'-x+1/4,-y+3/4,z+1/2'
'x+1/4,y+3/4,-z+1/2'
'x,-y+3/4,-z+3/4'
'-x,y+3/4,z+3/4'
'-x+1/4,y+1/2,-z+3/4'
'x+1/4,-y+1/2,z+3/4'
'x+1/2,y,z+1/2'
'-x+1/2,-y,-z+1/2'
'-x+3/4,-y+1/4,z+1/2'
'x+3/4,y+1/4,-z+1/2'
'x+1/2,-y+1/4,-z+3/4'
'-x+1/2,y+1/4,z+3/4'
'-x+3/4,y,-z+3/4'
'x+3/4,-y,z+3/4'
'x+1/2,y+1/2,z'
'-x+1/2,-y+1/2,-z'
'-x+3/4,-y+3/4,z'
'x+3/4,y+3/4,-z'
'x+1/2,-y+3/4,-z+1/4'
'-x+1/2,y+3/4,z+1/4'
'-x+3/4,y+1/2,-z+1/4'
'x+3/4,-y+1/2,z+1/4'
loop_
_atom_site_label
_atom_site_type_symbol
_atom_site_fract_x
_atom_site_fract_y
_atom_site_fract_z
K1 K 0.125 0.125 0.305
V1 V 0.125 0.125 0.125
Ag1 Ag 0.125 0.125 0.625
S1 S 0.077 0.276 0.432
```

***

<b>
Computed, not measured: a relaxed structure of K2VAgS4 at the PBE level of DFT.

The structure in CIF format:
```
data_K2VAgS4
_chemical_formula_sum 'K4 V2 Ag2 S8'
_cell_length_a 5.830
_cell_length_b 7.237
_cell_length_c 11.728
_cell_angle_alpha 84.26
_cell_angle_beta 75.61
_cell_angle_gamma 66.25
_space_group_name_H-M_alt 'P 1'
_space_group_IT_number 1
loop_
_space_group_symop_operation_xyz
'x,y,z'
loop_
_atom_site_label
_atom_site_type_symbol
_atom_site_fract_x
_atom_site_fract_y
_atom_site_fract_z
K1 K 0.000 0.000 0.000
K2 K 0.114 0.508 0.778
K3 K 0.357 0.010 0.273
K4 K 0.751 0.508 0.493
V1 V 0.176 0.000 0.636
V2 V 0.920 0.509 0.135
Ag1 Ag 0.419 0.511 0.138
Ag2 Ag 0.680 0.010 0.639
S1 S 0.137 0.808 0.520
S2 S 0.283 0.302 0.023
S3 S 0.329 0.208 0.527
S4 S 0.421 0.809 0.754
S5 S 0.677 0.703 0.022
S6 S 0.772 0.300 0.251
S7 S 0.827 0.202 0.752
S8 S 0.968 0.704 0.254
```

***

Most stable structure: <a>